Entry 1:
Entry from the Materials Project: a geometry-optimized Li5Fe2P2C2O14 structure (PBE+U).

Properties
Energy of formation in eV/atom: -2.32
SG: No. 2
Total moment in μB per formula unit: 9.0

a b c (Å): 6.399 9.473 10.260
angles (deg): 62.60 86.13 83.82
Fractional coordinates of all 50 atoms:
1 Li 0.002 0.262 0.060
2 Li 0.023 0.261 0.549
3 Li 0.243 0.604 0.300
4 Li 0.446 0.751 0.487
5 Li 0.458 0.756 0.984
6 Li 0.542 0.244 0.016
7 Li 0.554 0.249 0.513
8 Li 0.757 0.396 0.700
9 Li 0.977 0.739 0.451
10 Li 0.998 0.738 0.940
11 Fe 0.254 0.157 0.331
12 Fe 0.256 0.163 0.821
13 Fe 0.744 0.837 0.179
14 Fe 0.746 0.843 0.669
15 P 0.240 0.924 0.181
16 P 0.244 0.913 0.680
17 P 0.756 0.087 0.320
18 P 0.760 0.076 0.819
19 C 0.253 0.449 0.142
20 C 0.257 0.453 0.614
21 C 0.743 0.547 0.386
22 C 0.747 0.551 0.858
23 O 0.055 0.810 0.720
24 O 0.058 0.814 0.235
25 O 0.184 0.085 0.048
26 O 0.185 0.078 0.544
27 O 0.231 0.404 0.283
28 O 0.236 0.425 0.748
29 O 0.242 0.597 0.502
30 O 0.244 0.595 0.049
31 O 0.284 0.330 0.107
32 O 0.291 0.933 0.816
33 O 0.293 0.332 0.583
34 O 0.299 0.954 0.313
35 O 0.427 0.824 0.149
36 O 0.440 0.832 0.635
37 O 0.560 0.168 0.365
38 O 0.573 0.176 0.851
39 O 0.701 0.046 0.687
40 O 0.707 0.668 0.417
41 O 0.709 0.067 0.184
42 O 0.716 0.670 0.893
43 O 0.756 0.405 0.951
44 O 0.758 0.403 0.498
45 O 0.764 0.575 0.252
46 O 0.769 0.596 0.717
47 O 0.815 0.922 0.456
48 O 0.816 0.915 0.952
49 O 0.942 0.186 0.765
50 O 0.945 0.190 0.280

Entry 2:
Entry from the Materials Project: a geometry-optimized Li5Mn3O8 structure (PBE+U).

Properties
Energy of formation in eV/atom: -2.14
SG: No. 9
Total moment in μB per formula unit: 10.0

a b c (Å): 5.871 5.871 10.052
angles (deg): 105.75 105.75 60.64
Fractional coordinates of all 32 atoms:
1 Li 0.014 0.490 0.506
2 Li 0.024 0.976 0.500
3 Li 0.251 0.758 0.759
4 Li 0.252 0.752 0.256
5 Li 0.482 0.529 0.013
6 Li 0.490 0.014 0.006
7 Li 0.529 0.482 0.513
8 Li 0.752 0.252 0.756
9 Li 0.758 0.251 0.259
10 Li 0.976 0.024 0.000
11 Mn 0.251 0.254 0.757
12 Mn 0.254 0.251 0.257
13 Mn 0.516 0.989 0.506
14 Mn 0.752 0.753 0.756
15 Mn 0.753 0.752 0.256
16 Mn 0.989 0.516 0.006
17 O 0.091 0.654 0.887
18 O 0.108 0.609 0.364
19 O 0.113 0.170 0.887
20 O 0.170 0.113 0.387
21 O 0.331 0.391 0.124
22 O 0.391 0.331 0.624
23 O 0.398 0.895 0.149
24 O 0.415 0.852 0.626
25 O 0.609 0.108 0.864
26 O 0.634 0.645 0.380
27 O 0.645 0.634 0.880
28 O 0.654 0.091 0.387
29 O 0.852 0.415 0.126
30 O 0.858 0.871 0.632
31 O 0.871 0.858 0.132
32 O 0.895 0.398 0.649

Entry 3:
Entry from the Materials Project: a geometry-optimized Li5Mn2V3O10 structure (PBE+U).

Properties
Energy of formation in eV/atom: -2.32
SG: No. 2
Total moment in μB per formula unit: 0.0

a b c (Å): 5.274 7.883 10.344
angles (deg): 103.47 101.24 106.16
Fractional coordinates of all 40 atoms:
1 Li 0.000 0.000 0.250
2 Li 0.000 0.000 0.750
3 Li 0.220 0.735 0.311
4 Li 0.220 0.736 0.811
5 Li 0.428 0.920 0.104
6 Li 0.430 0.921 0.605
7 Li 0.570 0.079 0.395
8 Li 0.572 0.080 0.896
9 Li 0.780 0.264 0.189
10 Li 0.780 0.265 0.689
11 Mn 0.197 0.188 0.547
12 Mn 0.197 0.189 0.047
13 Mn 0.803 0.811 0.953
14 Mn 0.803 0.812 0.453
15 V 0.000 0.500 0.000
16 V 0.000 0.500 0.500
17 V 0.398 0.393 0.845
18 V 0.399 0.393 0.345
19 V 0.601 0.607 0.655
20 V 0.602 0.607 0.155
21 O 0.041 0.267 0.383
22 O 0.042 0.267 0.883
23 O 0.199 0.963 0.433
24 O 0.199 0.964 0.933
25 O 0.223 0.440 0.163
26 O 0.223 0.440 0.663
27 O 0.371 0.631 0.475
28 O 0.373 0.631 0.975
29 O 0.404 0.165 0.221
30 O 0.406 0.166 0.721
31 O 0.594 0.834 0.279
32 O 0.596 0.835 0.779
33 O 0.627 0.369 0.025
34 O 0.629 0.369 0.525
35 O 0.777 0.560 0.337
36 O 0.777 0.560 0.837
37 O 0.801 0.036 0.067
38 O 0.801 0.037 0.567
39 O 0.958 0.733 0.117
40 O 0.959 0.733 0.617

Entry 4:
Entry from the Materials Project: a geometry-optimized Na7Cr2O6 structure (PBE+U).

Properties
Energy of formation in eV/atom: -1.67
SG: No. 15
Total moment in μB per formula unit: 5.0

a b c (Å): 8.075 8.075 10.619
angles (deg): 103.99 103.99 42.45
Fractional coordinates of all 30 atoms:
1 Na 0.074 0.926 0.750
2 Na 0.187 0.265 0.809
3 Na 0.243 0.422 0.595
4 Na 0.265 0.187 0.309
5 Na 0.300 0.582 0.351
6 Na 0.418 0.700 0.149
7 Na 0.422 0.243 0.095
8 Na 0.578 0.757 0.905
9 Na 0.582 0.300 0.851
10 Na 0.700 0.418 0.649
11 Na 0.735 0.813 0.691
12 Na 0.757 0.578 0.405
13 Na 0.813 0.735 0.191
14 Na 0.926 0.074 0.250
15 Cr 0.012 0.226 0.040
16 Cr 0.226 0.012 0.540
17 Cr 0.774 0.988 0.460
18 Cr 0.988 0.774 0.960
19 O 0.006 0.345 0.580
20 O 0.134 0.672 0.125
21 O 0.154 0.600 0.813
22 O 0.328 0.866 0.375
23 O 0.345 0.006 0.080
24 O 0.400 0.846 0.687
25 O 0.600 0.154 0.313
26 O 0.655 0.994 0.920
27 O 0.672 0.134 0.625
28 O 0.846 0.400 0.187
29 O 0.866 0.328 0.875
30 O 0.994 0.655 0.420

Entry 5:
Entry from the Materials Project: a geometry-optimized Ce2WO6 structure (PBE+U).

Properties
Energy of formation in eV/atom: -3.18
SG: No. 136
Total moment in μB per formula unit: 2.0

a b c (Å): 5.037 5.037 10.485
angles (deg): 90.00 90.00 90.00
Fractional coordinates of all 18 atoms:
1 Ce 0.000 0.000 0.167
2 Ce 0.000 0.000 0.833
3 Ce 0.500 0.500 0.333
4 Ce 0.500 0.500 0.667
5 W 0.000 0.000 0.500
6 W 0.500 0.500 0.000
7 O 0.185 0.185 0.345
8 O 0.185 0.185 0.655
9 O 0.208 0.208 0.000
10 O 0.292 0.708 0.500
11 O 0.315 0.685 0.155
12 O 0.315 0.685 0.845
13 O 0.685 0.315 0.155
14 O 0.685 0.315 0.845
15 O 0.708 0.292 0.500
16 O 0.792 0.792 0.000
17 O 0.815 0.815 0.345
18 O 0.815 0.815 0.655

Entry 6:
Entry from the Materials Project: a geometry-optimized Ti3Co3O structure (PBE+U).

Properties
Energy of formation in eV/atom: -0.54
SG: No. 227
Total moment in μB per formula unit: 3.9

a b c (Å): 7.874 7.874 7.874
angles (deg): 60.00 60.00 60.00
Fractional coordinates of all 28 atoms:
1 Ti 0.065 0.065 0.685
2 Ti 0.065 0.685 0.065
3 Ti 0.065 0.685 0.685
4 Ti 0.315 0.315 0.935
5 Ti 0.315 0.935 0.315
6 Ti 0.315 0.935 0.935
7 Ti 0.685 0.065 0.065
8 Ti 0.685 0.065 0.685
9 Ti 0.685 0.685 0.065
10 Ti 0.935 0.315 0.315
11 Ti 0.935 0.315 0.935
12 Ti 0.935 0.935 0.315
13 Co 0.000 0.500 0.500
14 Co 0.295 0.295 0.295
15 Co 0.295 0.295 0.615
16 Co 0.295 0.615 0.295
17 Co 0.385 0.705 0.705
18 Co 0.500 0.000 0.500
19 Co 0.500 0.500 0.000
20 Co 0.500 0.500 0.500
21 Co 0.615 0.295 0.295
22 Co 0.705 0.385 0.705
23 Co 0.705 0.705 0.385
24 Co 0.705 0.705 0.705
25 O 0.000 0.000 0.000
26 O 0.000 0.000 0.500
27 O 0.000 0.500 0.000
28 O 0.500 0.000 0.000